The following is a DFT calculation (PBE) of crystalline Na2LaZrP3O12 at its relaxed geometry.

## Properties
The energy relative to the elements is -3075 meV per atom.

Lattice parameters (Å, degrees): 9.362 9.362 23.383 89.91 90.09 120.18
Fractional positions:
Na 0.358 0.348 0.248
Na 0.652 0.642 0.748
Na 0.024 0.681 0.582
Na 0.319 0.976 0.082
Na 0.691 0.015 0.915
Na 0.985 0.309 0.415
Na 0.000 0.999 0.503
Na 0.001 0.000 0.003
Na 0.666 0.332 0.836
Na 0.668 0.334 0.336
Na 0.333 0.665 0.170
Na 0.335 0.667 0.670
La 0.993 0.981 0.352
La 0.019 0.007 0.852
La 0.660 0.314 0.686
La 0.686 0.340 0.186
La 0.326 0.648 0.019
La 0.352 0.674 0.519
Zr 0.005 0.011 0.649
Zr 0.989 0.995 0.149
Zr 0.672 0.344 0.983
Zr 0.656 0.328 0.483
Zr 0.338 0.677 0.316
Zr 0.323 0.662 0.816
P 0.288 0.986 0.247
P 0.686 0.707 0.249
P 0.020 0.305 0.254
P 0.293 0.314 0.749
P 0.014 0.712 0.747
P 0.695 0.980 0.754
P 0.954 0.319 0.580
P 0.353 0.040 0.582
P 0.687 0.638 0.587
P 0.960 0.647 0.082
P 0.681 0.046 0.080
P 0.362 0.313 0.087
P 0.621 0.653 0.914
P 0.019 0.373 0.915
P 0.354 0.971 0.920
P 0.627 0.981 0.415
P 0.347 0.379 0.414
P 0.029 0.646 0.420
O 0.210 0.017 0.299
O 0.782 0.774 0.304
O 0.004 0.215 0.310
O 0.226 0.218 0.804
O 0.983 0.790 0.799
O 0.785 0.996 0.810
O 0.802 0.969 0.702
O 0.182 0.212 0.696
O 0.035 0.823 0.693
O 0.788 0.818 0.196
O 0.031 0.198 0.202
O 0.177 0.965 0.193
O 0.876 0.350 0.632
O 0.448 0.107 0.637
O 0.671 0.549 0.643
O 0.893 0.552 0.137
O 0.650 0.124 0.132
O 0.451 0.329 0.143
O 0.468 0.302 0.036
O 0.849 0.545 0.029
O 0.701 0.156 0.026
O 0.455 0.151 0.529
O 0.698 0.532 0.536
O 0.844 0.299 0.526
O 0.543 0.683 0.966
O 0.115 0.441 0.970
O 0.338 0.882 0.976
O 0.559 0.885 0.470
O 0.317 0.457 0.466
O 0.118 0.662 0.476
O 0.135 0.636 0.369
O 0.516 0.879 0.363
O 0.368 0.490 0.359
O 0.121 0.484 0.863
O 0.364 0.865 0.869
O 0.510 0.632 0.859
O 0.997 0.791 0.415
O 0.808 0.022 0.410
O 0.195 0.205 0.409
O 0.978 0.192 0.910
O 0.209 0.003 0.915
O 0.795 0.805 0.909
O 0.964 0.158 0.588
O 0.184 0.038 0.585
O 0.855 0.808 0.587
O 0.962 0.816 0.085
O 0.842 0.036 0.088
O 0.192 0.145 0.087
O 0.664 0.124 0.749
O 0.474 0.355 0.743
O 0.861 0.539 0.742
O 0.645 0.526 0.243
O 0.876 0.336 0.249
O 0.461 0.139 0.242
O 0.631 0.491 0.921
O 0.851 0.371 0.918
O 0.522 0.141 0.920
O 0.629 0.149 0.418
O 0.509 0.369 0.421
O 0.859 0.478 0.420
O 0.331 0.458 0.082
O 0.141 0.688 0.077
O 0.528 0.872 0.076
O 0.312 0.859 0.577
O 0.542 0.669 0.582
O 0.128 0.472 0.576
O 0.298 0.825 0.255
O 0.517 0.704 0.252
O 0.188 0.474 0.254
O 0.296 0.483 0.752
O 0.175 0.702 0.755
O 0.526 0.812 0.754

The following is a DFT calculation (PBE) of crystalline LiSm4Tm4O12 at its relaxed geometry.

## Properties
The distance to the lowest polymorph of the same formula is 3.9 meV/atom. As for the space group: P1 (1). The energy relative to the elements is -3634 meV per atom.

Lattice parameters (Å, degrees): 6.124 8.376 5.719 90.75 91.51 89.12
Fractional positions:
Li 0.254 0.852 0.872
Sm 0.066 0.265 0.985
Sm 0.448 0.760 0.459
Sm 0.567 0.262 0.534
Sm 0.898 0.713 0.014
Tm 0.012 0.003 0.484
Tm 0.998 0.503 0.503
Tm 0.546 0.029 0.012
Tm 0.482 0.500 0.002
O 0.080 0.753 0.649
O 0.167 0.547 0.174
O 0.222 0.922 0.188
O 0.290 0.413 0.697
O 0.321 0.059 0.700
O 0.434 0.255 0.152
O 0.539 0.756 0.860
O 0.721 0.908 0.294
O 0.677 0.564 0.323
O 0.812 0.091 0.789
O 0.802 0.448 0.821
O 0.923 0.246 0.351

The following is a DFT calculation (PBE) of crystalline NaCaTaTiO6 at its relaxed geometry.

## Properties
As for the space group: Pc (7). The energy relative to the elements is -3300 meV per atom.

Lattice parameters (Å, degrees): 5.551 5.456 9.486 54.82 90.00 90.00
Fractional positions:
Na 0.226 0.746 0.250
Na 0.774 0.746 0.750
Ca 0.705 0.263 0.250
Ca 0.295 0.263 0.750
Ta 0.244 0.506 0.000
Ta 0.756 0.506 0.500
Ti 0.245 0.009 0.497
Ti 0.755 0.009 0.997
O 0.732 0.173 0.752
O 0.470 0.315 0.462
O 0.469 0.741 0.039
O 0.962 0.249 0.457
O 0.957 0.664 0.044
O 0.233 0.834 0.749
O 0.268 0.173 0.252
O 0.530 0.315 0.962
O 0.531 0.741 0.539
O 0.038 0.249 0.957
O 0.043 0.664 0.544
O 0.767 0.834 0.249

The following is a DFT calculation (PBE) of crystalline YMg14Co at its relaxed geometry.

## Properties
The distance to the lowest polymorph of the same formula is 35.2 meV/atom. As for the space group: P-6m2 (187). The energy relative to the elements is 84 meV per atom.

Lattice parameters (Å, degrees): 6.386 6.386 10.267 90.00 90.00 120.00
Fractional positions:
Y 0.167 0.333 0.125
Mg 0.179 0.839 0.125
Mg 0.160 0.830 0.625
Mg 0.661 0.321 0.125
Mg 0.670 0.340 0.625
Mg 0.661 0.839 0.125
Mg 0.670 0.830 0.625
Mg 0.326 0.174 0.396
Mg 0.326 0.174 0.854
Mg 0.326 0.652 0.396
Mg 0.326 0.652 0.854
Mg 0.848 0.174 0.396
Mg 0.848 0.174 0.854
Mg 0.833 0.667 0.364
Mg 0.833 0.667 0.886
Co 0.167 0.333 0.625

The following is a DFT calculation (PBE) of crystalline MgU2P2O22 at its relaxed geometry.

## Properties
As for the space group: P2_1/c (14). The energy relative to the elements is -1523 meV per atom.

Lattice parameters (Å, degrees): 19.089 6.967 9.558 46.87 90.00 90.00
Fractional positions:
Mg 0.000 0.500 0.500
Mg 0.500 0.500 0.000
U 0.801 0.080 0.972
U 0.301 0.920 0.528
U 0.199 0.920 0.028
U 0.699 0.080 0.472
P 0.751 0.581 0.471
P 0.251 0.419 0.029
P 0.249 0.419 0.529
P 0.749 0.581 0.971
O 0.897 0.083 0.971
O 0.397 0.917 0.529
O 0.103 0.917 0.029
O 0.603 0.083 0.471
O 0.707 0.081 0.972
O 0.207 0.919 0.528
O 0.293 0.919 0.028
O 0.793 0.081 0.472
O 0.800 0.780 0.297
O 0.300 0.220 0.203
O 0.200 0.220 0.703
O 0.700 0.780 0.797
O 0.796 0.430 0.943
O 0.296 0.570 0.557
O 0.204 0.570 0.057
O 0.704 0.430 0.443
O 0.799 0.380 0.649
O 0.299 0.620 0.851
O 0.201 0.620 0.351
O 0.701 0.380 0.149
O 0.796 0.725 0.005
O 0.296 0.275 0.495
O 0.204 0.275 0.995
O 0.704 0.725 0.505
O 0.074 0.763 0.400
O 0.574 0.237 0.100
O 0.926 0.237 0.600
O 0.426 0.763 0.900
O 0.580 0.767 0.153
O 0.080 0.233 0.347
O 0.420 0.233 0.847
O 0.920 0.767 0.653
O 0.571 0.773 0.022
O 0.071 0.227 0.478
O 0.429 0.227 0.978
O 0.929 0.773 0.522
O 0.558 0.499 0.619
O 0.058 0.501 0.881
O 0.442 0.501 0.381
O 0.942 0.499 0.119
O 0.970 0.617 0.158
O 0.470 0.383 0.342
O 0.030 0.383 0.842
O 0.530 0.617 0.658

The following is a DFT calculation (PBE) of crystalline ZnCu2SnS4 at its relaxed geometry.

## Properties
The distance to the lowest polymorph of the same formula is 9.5 meV/atom. As for the space group: Pmn2_1 (31). The energy relative to the elements is -698 meV per atom.

Lattice parameters (Å, degrees): 6.375 6.688 7.728 90.00 90.00 90.00
Fractional positions:
Zn 0.501 0.840 0.500
Zn 0.001 0.160 0.000
Cu 0.498 0.330 0.752
Cu 0.498 0.330 0.248
Cu 0.998 0.670 0.748
Cu 0.998 0.670 0.252
Sn 0.001 0.170 0.500
Sn 0.501 0.830 0.000
S 0.134 0.345 0.759
S 0.134 0.345 0.241
S 0.634 0.655 0.741
S 0.634 0.655 0.259
S 0.612 0.177 0.500
S 0.112 0.823 0.000
S 0.128 0.821 0.500
S 0.628 0.179 0.000

The following is a DFT calculation (PBE) of crystalline Mg3Ni20B6 at its relaxed geometry.

## Properties
As for the space group: Fm-3m (225). The energy relative to the elements is -310 meV per atom.

Lattice parameters (Å, degrees): 7.465 7.465 7.465 60.00 60.00 60.00
Fractional positions:
Mg 0.750 0.750 0.750
Mg 0.250 0.250 0.250
Mg 0.000 0.000 0.000
Ni 0.385 0.385 0.844
Ni 0.615 0.615 0.615
Ni 0.000 0.340 0.000
Ni 0.340 0.000 0.000
Ni 0.000 0.340 0.660
Ni 0.844 0.385 0.385
Ni 0.340 0.000 0.660
Ni 0.000 0.000 0.340
Ni 0.660 0.340 0.000
Ni 0.000 0.660 0.340
Ni 0.000 0.000 0.660
Ni 0.340 0.660 0.000
Ni 0.660 0.000 0.000
Ni 0.000 0.660 0.000
Ni 0.385 0.844 0.385
Ni 0.615 0.615 0.156
Ni 0.615 0.156 0.615
Ni 0.156 0.615 0.615
Ni 0.385 0.385 0.385
Ni 0.660 0.000 0.340
B 0.729 0.271 0.729
B 0.271 0.729 0.271
B 0.271 0.729 0.729
B 0.271 0.271 0.729
B 0.729 0.729 0.271
B 0.729 0.271 0.271

The following is a DFT calculation (PBE) of crystalline KCdC3N3O3 at its relaxed geometry.

## Properties
As for the space group: Pnma (62). The energy relative to the elements is -910 meV per atom.

Lattice parameters (Å, degrees): 3.773 10.224 18.555 90.00 90.00 90.00
Fractional positions:
K 0.750 0.428 0.835
K 0.250 0.572 0.165
K 0.750 0.928 0.665
K 0.250 0.072 0.335
Cd 0.750 0.362 0.456
Cd 0.250 0.638 0.544
Cd 0.750 0.862 0.044
Cd 0.250 0.138 0.956
C 0.250 0.084 0.124
C 0.250 0.584 0.376
C 0.750 0.416 0.624
C 0.750 0.916 0.876
C 0.250 0.139 0.530
C 0.750 0.861 0.470
C 0.250 0.639 0.970
C 0.750 0.361 0.030
C 0.750 0.352 0.288
C 0.250 0.648 0.712
C 0.750 0.852 0.212
C 0.250 0.148 0.788
N 0.750 0.786 0.158
N 0.750 0.266 0.991
N 0.250 0.023 0.067
N 0.750 0.977 0.933
N 0.250 0.523 0.433
N 0.750 0.477 0.567
N 0.250 0.234 0.491
N 0.750 0.766 0.509
N 0.750 0.286 0.342
N 0.250 0.714 0.658
N 0.250 0.214 0.842
N 0.250 0.734 0.009
O 0.250 0.544 0.932
O 0.250 0.083 0.734
O 0.750 0.857 0.821
O 0.250 0.643 0.321
O 0.750 0.456 0.068
O 0.750 0.357 0.679
O 0.250 0.044 0.568
O 0.750 0.956 0.432
O 0.750 0.417 0.234
O 0.250 0.583 0.766
O 0.250 0.143 0.179
O 0.750 0.917 0.266

The following is a DFT calculation (PBE) of crystalline Mg7Si4 at its relaxed geometry.

## Properties
The distance to the lowest polymorph of the same formula is 19.3 meV/atom. As for the space group: P1 (1). The energy relative to the elements is 69 meV per atom.

Lattice parameters (Å, degrees): 4.510 6.188 15.495 93.37 91.72 90.05
Fractional positions:
Mg 0.015 0.043 0.825
Mg 0.510 0.705 0.759
Mg 0.994 0.904 0.635
Mg 0.002 0.403 0.686
Mg 0.042 0.275 0.008
Mg 0.477 0.843 0.443
Mg 0.958 0.294 0.217
Mg 0.472 0.349 0.366
Mg 0.524 0.351 0.882
Mg 0.526 0.831 0.949
Mg 0.044 0.784 0.098
Mg 0.961 0.787 0.307
Mg 0.982 0.119 0.464
Mg 0.984 0.574 0.485
Si 0.545 0.093 0.092
Si 0.505 0.123 0.723
Si 0.021 0.615 0.862
Si 0.453 0.606 0.228
Si 0.553 0.488 0.078
Si 0.496 0.205 0.568
Si 0.489 0.596 0.587
Si 0.453 0.004 0.241

The following is a DFT calculation (PBE) of crystalline NaSbO7 at its relaxed geometry.

## Properties
The distance to the lowest polymorph of the same formula is 0.0 meV/atom. As for the space group: Cmc2_1 (36). The energy relative to the elements is -449 meV per atom.

Lattice parameters (Å, degrees): 7.249 7.249 6.485 90.00 90.00 122.97
Fractional positions:
Na 0.773 0.227 0.659
Na 0.227 0.773 0.159
Sb 0.370 0.630 0.587
Sb 0.630 0.370 0.087
O 0.554 0.446 0.472
O 0.530 0.904 0.458
O 0.096 0.470 0.458
O 0.446 0.554 0.972
O 0.470 0.096 0.958
O 0.904 0.530 0.958
O 0.587 0.741 0.839
O 0.105 0.895 0.688
O 0.259 0.413 0.839
O 0.413 0.259 0.339
O 0.895 0.105 0.188
O 0.741 0.587 0.339
O 0.013 0.987 0.624
O 0.987 0.013 0.124

The following is a DFT calculation (PBE) of crystalline K2Re at its relaxed geometry.

## Properties
The distance to the lowest polymorph of the same formula is 0.0 meV/atom. As for the space group: Amm2 (38). The energy relative to the elements is 1579 meV per atom.

Lattice parameters (Å, degrees): 10.619 10.619 2.751 90.00 90.00 120.04
Fractional positions:
K 0.358 0.358 0.000
K 0.643 0.000 0.000
K 0.000 0.643 0.000
K 0.690 0.690 0.500
K 0.310 0.000 0.500
K 0.000 0.310 0.500
Re 0.000 0.000 0.000
Re 0.667 0.333 0.500
Re 0.333 0.667 0.500